[1]
## Zr3Au (PBE)

Data for an optimized crystal structure of Zr3Au.

Structure (POSCAR):
```
Zr3Au
1.0
5.538 0.000 0.000
0.000 5.538 0.000
0.000 0.000 5.538
Zr Au
6 2
Direct
0.000 0.250 0.500
0.000 0.750 0.500
0.250 0.500 0.000
0.500 0.000 0.250
0.500 0.000 0.750
0.750 0.500 0.000
0.000 0.000 0.000
0.500 0.500 0.500
```

VASP energy = -7.5768 eV per atom
Formation energy from the elements = -348 meV per atom
Symmetry = No. 223

[2]
## MgV2S4 (PBE)

Data for an optimized crystal structure of MgV2S4.

Structure (POSCAR):
```
MgV2S4
1.0
-3.549 3.549 5.327
3.549 -3.549 5.327
3.549 3.549 -5.327
Mg V S
2 4 8
Direct
0.375 0.625 0.750
0.625 0.375 0.250
0.000 0.000 0.000
0.000 0.000 0.500
0.000 0.500 0.000
0.500 0.000 0.500
0.216 0.230 0.986
0.230 0.216 0.486
0.230 0.744 0.014
0.256 0.770 0.486
0.744 0.230 0.514
0.770 0.256 0.986
0.770 0.784 0.514
0.784 0.770 0.014
```

VASP energy = -6.1729 eV per atom
Total magnetization = 8.019 μB/cell
Formation energy from the elements = -1273 meV per atom
Energy relative to the lowest polymorph listed for this composition = 0.000 eV per atom
Symmetry = No. 141